No. 1
# Co3Ag2P3HO12

Crystalline Co3Ag2P3HO12 at its relaxed geometry (PBE with a Hubbard U, Materials Project).

Unit cell a=9.187 b=9.187 c=10.942 alpha=126.49 beta=126.49 gamma=42.87
Fractional coordinates of all 42 atoms:
Co 0.007 0.993 0.500
Co 0.113 0.610 0.613
Co 0.217 0.235 0.729
Co 0.235 0.217 0.229
Co 0.610 0.113 0.113
Co 0.993 0.007 0.000
Ag 0.122 0.614 0.114
Ag 0.474 0.729 0.315
Ag 0.614 0.122 0.614
Ag 0.729 0.474 0.815
P 0.267 0.958 0.866
P 0.433 0.440 0.937
P 0.440 0.433 0.437
P 0.782 0.798 0.291
P 0.798 0.782 0.791
P 0.958 0.267 0.366
H 0.490 0.785 0.615
H 0.785 0.490 0.115
O 0.101 0.124 0.251
O 0.101 0.127 0.483
O 0.124 0.101 0.751
O 0.127 0.101 0.983
O 0.298 0.690 0.026
O 0.302 0.731 0.770
O 0.318 0.399 0.466
O 0.334 0.387 0.750
O 0.342 0.682 0.487
O 0.387 0.334 0.250
O 0.399 0.318 0.966
O 0.497 0.916 0.958
O 0.537 0.912 0.256
O 0.538 0.890 0.688
O 0.682 0.342 0.987
O 0.690 0.298 0.526
O 0.731 0.302 0.270
O 0.822 0.907 0.972
O 0.840 0.885 0.250
O 0.885 0.840 0.750
O 0.890 0.538 0.188
O 0.907 0.822 0.472
O 0.912 0.537 0.756
O 0.916 0.497 0.458

Values from the calculation:
Its total energy is -6.343 eV/atom. The calculated formation energy is -1.922 eV/atom.


No. 2
# Co3AgP3H2O12

Crystalline Co3AgP3H2O12 at its relaxed geometry (PBE with a Hubbard U, Materials Project).

Unit cell a=8.609 b=8.609 c=6.596 alpha=106.81 beta=106.81 gamma=90.68
Fractional coordinates of all 42 atoms:
Co 0.128 0.451 0.880
Co 0.221 0.779 0.750
Co 0.451 0.128 0.380
Co 0.549 0.872 0.620
Co 0.779 0.221 0.250
Co 0.872 0.549 0.120
Ag 0.460 0.540 0.250
Ag 0.540 0.460 0.750
P 0.166 0.393 0.389
P 0.181 0.819 0.250
P 0.393 0.166 0.889
P 0.607 0.834 0.111
P 0.819 0.181 0.750
P 0.834 0.607 0.611
H 0.111 0.124 0.312
H 0.124 0.111 0.812
H 0.876 0.889 0.188
H 0.889 0.876 0.688
O 0.002 0.214 0.771
O 0.048 0.233 0.345
O 0.100 0.464 0.196
O 0.170 0.517 0.614
O 0.214 0.002 0.271
O 0.220 0.710 0.038
O 0.233 0.048 0.845
O 0.290 0.780 0.462
O 0.337 0.339 0.396
O 0.339 0.337 0.896
O 0.464 0.100 0.696
O 0.483 0.830 0.886
O 0.517 0.170 0.114
O 0.536 0.900 0.304
O 0.661 0.663 0.104
O 0.663 0.661 0.604
O 0.710 0.220 0.538
O 0.767 0.952 0.155
O 0.780 0.290 0.962
O 0.786 0.998 0.729
O 0.830 0.483 0.386
O 0.900 0.536 0.804
O 0.952 0.767 0.655
O 0.998 0.786 0.229

Values from the calculation:
Its total energy is -6.439 eV/atom. The calculated formation energy is -1.991 eV/atom.


No. 3
# La4Sm4Co7AgO20

Crystalline La4Sm4Co7AgO20 at its relaxed geometry (PBE with a Hubbard U, Materials Project).

Unit cell a=10.775 b=11.459 c=17.688 alpha=108.87 beta=107.68 gamma=90.04
Fractional coordinates of all 144 atoms:
La 0.000 0.000 0.000
La 0.000 0.498 0.003
La 0.113 0.128 0.724
La 0.113 0.129 0.228
La 0.113 0.629 0.230
La 0.249 0.765 0.000
La 0.252 0.269 0.005
La 0.361 0.859 0.228
La 0.366 0.361 0.230
La 0.499 0.496 0.001
La 0.612 0.124 0.726
La 0.613 0.630 0.229
La 0.747 0.762 0.999
La 0.749 0.263 0.003
La 0.861 0.860 0.228
La 0.864 0.363 0.727
Sm 0.001 0.495 0.503
Sm 0.004 0.996 0.504
Sm 0.115 0.630 0.723
Sm 0.252 0.266 0.504
Sm 0.253 0.770 0.504
Sm 0.363 0.357 0.724
Sm 0.364 0.856 0.724
Sm 0.500 0.995 0.004
Sm 0.504 0.496 0.504
Sm 0.504 0.996 0.504
Sm 0.611 0.132 0.226
Sm 0.612 0.627 0.723
Sm 0.755 0.269 0.504
Sm 0.756 0.773 0.505
Sm 0.861 0.356 0.227
Sm 0.865 0.858 0.723
Co 0.050 0.312 0.113
Co 0.051 0.811 0.612
Co 0.053 0.314 0.614
Co 0.054 0.816 0.119
Co 0.196 0.966 0.862
Co 0.198 0.468 0.861
Co 0.202 0.969 0.369
Co 0.300 0.061 0.611
Co 0.302 0.563 0.616
Co 0.303 0.063 0.115
Co 0.303 0.564 0.115
Co 0.439 0.659 0.861
Co 0.445 0.156 0.863
Co 0.454 0.159 0.368
Co 0.459 0.660 0.369
Co 0.548 0.309 0.608
Co 0.548 0.807 0.607
Co 0.554 0.313 0.117
Co 0.554 0.816 0.117
Co 0.699 0.470 0.367
Co 0.701 0.973 0.367
Co 0.798 0.561 0.607
Co 0.800 0.062 0.611
Co 0.803 0.064 0.119
Co 0.803 0.564 0.120
Co 0.949 0.160 0.368
Co 0.951 0.658 0.368
Co 0.954 0.159 0.862
Ag 0.191 0.449 0.367
Ag 0.684 0.445 0.863
Ag 0.692 0.943 0.863
Ag 0.937 0.680 0.862
O 0.090 0.333 0.241
O 0.099 0.841 0.752
O 0.108 0.340 0.751
O 0.116 0.847 0.257
O 0.138 0.658 0.370
O 0.141 0.136 0.370
O 0.147 0.137 0.864
O 0.170 0.181 0.593
O 0.170 0.682 0.597
O 0.171 0.179 0.097
O 0.173 0.684 0.100
O 0.174 0.638 0.859
O 0.187 0.443 0.131
O 0.190 0.940 0.631
O 0.190 0.948 0.135
O 0.194 0.448 0.642
O 0.207 0.952 0.476
O 0.210 0.452 0.492
O 0.223 0.955 0.975
O 0.226 0.456 0.974
O 0.347 0.678 0.751
O 0.354 0.173 0.752
O 0.364 0.671 0.257
O 0.365 0.172 0.257
O 0.388 0.987 0.863
O 0.391 0.486 0.859
O 0.394 0.994 0.370
O 0.414 0.170 0.586
O 0.414 0.668 0.587
O 0.422 0.680 0.099
O 0.425 0.173 0.098
O 0.426 0.492 0.369
O 0.435 0.946 0.627
O 0.438 0.447 0.132
O 0.439 0.451 0.634
O 0.440 0.952 0.132
O 0.456 0.787 0.472
O 0.457 0.286 0.473
O 0.468 0.281 0.976
O 0.469 0.785 0.976
O 0.584 0.827 0.735
O 0.589 0.328 0.735
O 0.609 0.847 0.258
O 0.610 0.343 0.256
O 0.626 0.652 0.858
O 0.631 0.151 0.864
O 0.645 0.140 0.366
O 0.651 0.642 0.370
O 0.663 0.674 0.581
O 0.665 0.176 0.586
O 0.671 0.183 0.104
O 0.673 0.686 0.102
O 0.683 0.442 0.624
O 0.686 0.953 0.141
O 0.690 0.938 0.629
O 0.693 0.444 0.141
O 0.709 0.951 0.473
O 0.711 0.957 0.990
O 0.715 0.447 0.474
O 0.723 0.461 0.992
O 0.833 0.671 0.735
O 0.854 0.177 0.259
O 0.857 0.170 0.750
O 0.857 0.673 0.257
O 0.891 0.489 0.366
O 0.894 0.994 0.371
O 0.916 0.173 0.095
O 0.918 0.172 0.590
O 0.918 0.676 0.591
O 0.918 0.988 0.858
O 0.923 0.679 0.105
O 0.925 0.472 0.865
O 0.936 0.447 0.136
O 0.936 0.945 0.629
O 0.940 0.454 0.629
O 0.941 0.954 0.143
O 0.959 0.787 0.475
O 0.961 0.287 0.475
O 0.970 0.277 0.974
O 0.972 0.795 0.991

Values from the calculation:
Its total energy is -7.163 eV/atom. The calculated formation energy is -2.581 eV/atom.


No. 4
# La4Sm4Co7AgO24

Crystalline La4Sm4Co7AgO24 at its relaxed geometry (PBE with a Hubbard U, Materials Project).

Unit cell a=7.682 b=7.682 c=7.655 alpha=90.10 beta=90.10 gamma=90.06
Fractional coordinates of all 40 atoms:
La 0.000 0.000 0.000
La 0.000 0.503 0.000
La 0.503 0.000 0.000
La 0.504 0.504 0.505
Sm 0.000 0.000 0.505
Sm 0.000 0.504 0.505
Sm 0.504 0.000 0.505
Sm 0.504 0.504 0.000
Co 0.252 0.252 0.752
Co 0.252 0.752 0.253
Co 0.252 0.752 0.752
Co 0.752 0.252 0.253
Co 0.752 0.252 0.752
Co 0.752 0.752 0.253
Co 0.752 0.752 0.751
Ag 0.252 0.252 0.252
O 0.000 0.752 0.258
O 0.001 0.252 0.748
O 0.006 0.751 0.748
O 0.249 0.249 0.514
O 0.250 0.754 0.503
O 0.252 0.001 0.748
O 0.252 0.503 0.752
O 0.252 0.514 0.254
O 0.252 0.990 0.259
O 0.254 0.750 0.002
O 0.255 0.255 0.991
O 0.498 0.752 0.753
O 0.503 0.252 0.752
O 0.504 0.752 0.253
O 0.514 0.252 0.254
O 0.749 0.749 0.004
O 0.750 0.254 0.002
O 0.751 0.006 0.748
O 0.752 0.000 0.258
O 0.752 0.498 0.753
O 0.752 0.504 0.253
O 0.754 0.250 0.503
O 0.755 0.755 0.501
O 0.990 0.252 0.259

Values from the calculation:
Its total energy is -6.928 eV/atom. The calculated formation energy is -2.378 eV/atom.


No. 5
# La6Sm2Co7AgO20

Crystalline La6Sm2Co7AgO20 at its relaxed geometry (PBE with a Hubbard U, Materials Project).

Unit cell a=10.795 b=11.426 c=17.809 alpha=108.63 beta=107.57 gamma=90.02
Fractional coordinates of all 144 atoms:
La 0.000 0.000 0.000
La 0.000 0.497 0.998
La 0.000 0.500 0.500
La 0.002 0.003 0.501
La 0.110 0.597 0.726
La 0.113 0.097 0.725
La 0.113 0.597 0.226
La 0.114 0.097 0.227
La 0.248 0.734 0.999
La 0.251 0.235 0.000
La 0.360 0.364 0.722
La 0.363 0.364 0.226
La 0.364 0.864 0.224
La 0.499 0.001 0.999
La 0.500 0.503 0.000
La 0.501 0.003 0.500
La 0.611 0.093 0.724
La 0.614 0.094 0.226
La 0.615 0.594 0.226
La 0.749 0.732 0.998
La 0.751 0.232 0.002
La 0.861 0.862 0.726
La 0.863 0.863 0.223
La 0.864 0.363 0.225
Sm 0.251 0.232 0.502
Sm 0.253 0.734 0.504
Sm 0.359 0.864 0.721
Sm 0.502 0.506 0.503
Sm 0.610 0.592 0.722
Sm 0.748 0.232 0.504
Sm 0.750 0.732 0.505
Sm 0.856 0.361 0.721
Co 0.058 0.296 0.607
Co 0.059 0.796 0.608
Co 0.060 0.297 0.110
Co 0.063 0.800 0.117
Co 0.165 0.895 0.365
Co 0.309 0.046 0.610
Co 0.312 0.551 0.116
Co 0.313 0.051 0.117
Co 0.313 0.550 0.614
Co 0.414 0.703 0.365
Co 0.416 0.205 0.366
Co 0.417 0.199 0.861
Co 0.422 0.702 0.860
Co 0.560 0.299 0.611
Co 0.560 0.797 0.613
Co 0.561 0.299 0.115
Co 0.561 0.798 0.113
Co 0.660 0.891 0.860
Co 0.665 0.893 0.365
Co 0.666 0.392 0.365
Co 0.668 0.393 0.861
Co 0.807 0.543 0.607
Co 0.810 0.047 0.612
Co 0.810 0.048 0.112
Co 0.810 0.548 0.112
Co 0.908 0.199 0.860
Co 0.908 0.202 0.365
Co 0.914 0.704 0.365
Ag 0.170 0.417 0.862
Ag 0.175 0.416 0.365
Ag 0.178 0.918 0.862
Ag 0.921 0.676 0.861
O 0.002 0.193 0.973
O 0.011 0.190 0.472
O 0.012 0.690 0.472
O 0.016 0.695 0.989
O 0.138 0.402 0.237
O 0.139 0.400 0.734
O 0.140 0.905 0.254
O 0.145 0.901 0.734
O 0.175 0.417 0.093
O 0.177 0.413 0.590
O 0.177 0.912 0.590
O 0.180 0.921 0.103
O 0.189 0.175 0.624
O 0.193 0.180 0.130
O 0.196 0.681 0.629
O 0.197 0.684 0.138
O 0.227 0.730 0.369
O 0.230 0.204 0.367
O 0.231 0.206 0.862
O 0.235 0.705 0.861
O 0.255 0.020 0.474
O 0.267 0.026 0.990
O 0.267 0.527 0.989
O 0.277 0.533 0.489
O 0.394 0.581 0.255
O 0.395 0.076 0.749
O 0.396 0.084 0.254
O 0.402 0.576 0.750
O 0.422 0.908 0.596
O 0.427 0.414 0.595
O 0.428 0.915 0.101
O 0.429 0.415 0.101
O 0.438 0.183 0.625
O 0.446 0.186 0.133
O 0.446 0.688 0.636
O 0.447 0.686 0.134
O 0.467 0.873 0.857
O 0.475 0.868 0.363
O 0.477 0.374 0.369
O 0.478 0.366 0.861
O 0.507 0.191 0.974
O 0.507 0.692 0.974
O 0.509 0.689 0.474
O 0.512 0.189 0.474
O 0.641 0.908 0.750
O 0.643 0.406 0.254
O 0.645 0.906 0.254
O 0.648 0.408 0.750
O 0.671 0.414 0.592
O 0.674 0.914 0.594
O 0.675 0.918 0.098
O 0.676 0.419 0.099
O 0.686 0.673 0.626
O 0.686 0.718 0.857
O 0.691 0.179 0.128
O 0.691 0.678 0.127
O 0.693 0.182 0.629
O 0.718 0.223 0.862
O 0.719 0.223 0.368
O 0.726 0.728 0.370
O 0.749 0.014 0.972
O 0.751 0.517 0.973
O 0.751 0.522 0.472
O 0.752 0.021 0.473
O 0.888 0.564 0.734
O 0.890 0.581 0.253
O 0.891 0.078 0.749
O 0.891 0.081 0.253
O 0.917 0.404 0.586
O 0.921 0.910 0.590
O 0.924 0.415 0.095
O 0.925 0.913 0.099
O 0.936 0.186 0.626
O 0.936 0.682 0.621
O 0.939 0.182 0.127
O 0.940 0.367 0.856
O 0.942 0.682 0.130
O 0.942 0.892 0.863
O 0.943 0.370 0.362
O 0.974 0.869 0.362

Values from the calculation:
Its total energy is -7.187 eV/atom. The calculated formation energy is -2.592 eV/atom.


Q: Among the records above, which one has the highest calculated formation energy?
A: Co3Ag2P3HO12